A plane-wave DFT calculation with PBE+U was carried out for MnZnF4 after structural relaxation.

The value obtained for the formation energy is -13.51 eV/f.u. The distance to the lowest polymorph of the same formula comes out at 462 meV/atom. The calculation puts the total energy after the MP2020 corrections at -0.387 Ry per atom.

It has space group C2 (No. 5), with a = 11.504 Å, b = 5.289 Å, c = 5.202 Å, α = 90.00°, β = 115.37° and γ = 90.00°. The asymmetric unit holds Mn at (0.249, 0.000, 0.249), Zn at (0.000, 0.510, 0.000), Zn at (0.000, 0.990, 0.500), F at (0.122, 0.808, 0.846), F at (0.124, 0.202, 0.415), F at (0.125, 0.695, 0.353) and F at (0.126, 0.299, 0.916).

A plane-wave DFT calculation with PBE+U was carried out for MnOF after structural relaxation.

The value obtained for the formation energy is -6.96 eV/f.u. The calculation puts the total energy after the MP2020 corrections at -0.563 Ry per atom.

It has space group P2_1/c (No. 14), with a = 4.673 Å, b = 6.248 Å, c = 9.389 Å, α = 90.00°, β = 90.30° and γ = 90.00°. The asymmetric unit holds Mn at (0.000, 0.000, 0.000), Mn at (0.000, 0.000, 0.500), Mn at (0.472, 0.250, 0.236), O at (0.176, 0.248, 0.087), O at (0.316, 0.000, 0.340), F at (0.223, 0.748, 0.611) and F at (0.290, 0.000, 0.856).